This record from Materials Project describes an optimized crystal structure of LiCoSO4F. The functional is PBE with a Hubbard U.

As for the calculated total energy: -5.850 eV per atom. The formation energy comes out at -2098.6 meV/atom. Its space group is P-1, No. 2.

a = 5.5046 Å, b = 7.3376 Å, c = 10.3531 Å
α = 76.55°, β = 78.90°, γ = 107.69°
Fractional coordinates of all 32 atoms:
O 0.1021 0.7847 0.5540
O 0.3997 0.7153 0.9453
O 0.1930 0.9833 0.1593
O 0.9505 0.6045 0.8030
O 0.4491 0.1040 0.3032
O 0.1279 0.4526 0.6379
O 0.3731 0.0473 0.8623
O 0.6269 0.9527 0.1377
O 0.8979 0.2153 0.4460
O 0.8721 0.5474 0.3621
O 0.6003 0.2847 0.0547
O 0.6945 0.4840 0.6593
O 0.8070 0.0167 0.8407
O 0.5509 0.8960 0.6968
O 0.3055 0.5160 0.3407
O 0.0495 0.3955 0.1970
S 0.0259 0.4167 0.3370
S 0.5275 0.9170 0.8368
S 0.9741 0.5833 0.6630
S 0.4725 0.0830 0.1632
F 0.6498 0.8038 0.4416
F 0.3502 0.1962 0.5584
F 0.1498 0.3042 0.9414
F 0.8502 0.6958 0.0586
Co 0.5000 0.5000 0.5000
Co 0.0000 0.0000 0.0000
Co 0.0000 0.5000 0.0000
Co 0.5000 0.0000 0.5000
Li 0.9931 0.1543 0.6329
Li 0.5067 0.3466 0.8671
Li 0.4933 0.6534 0.1329
Li 0.0069 0.8457 0.3671